No. 1
Here is an optimized crystal structure of TmAlSi from the Materials Project database. Energies are from r2SCAN.

Structure (POSCAR):
```
TmAlSi
1.0
-2.7314 -0.6218 -2.7894
1.7248 -4.6851 2.1567
-4.0459 0.3032 3.8942
Al Tm Si
2 2 2
Cartesian
-2.0230 0.1516 1.9471
0.0000 0.0000 0.0000
-2.2369 -2.1877 -0.1233
-2.8157 -2.8160 3.3849
-4.3282 -1.0850 1.6787
-0.7244 -3.9187 1.5828
```

Output
VASP energy (eV/cell): -105.2
Total magnetization (μB per formula unit): 0.00
Space-group type: Cmcm, No. 63
E_form (eV per atom): -0.658



No. 2
Here is an optimized crystal structure of U2Al3Si3 from the Materials Project database. Energies are from r2SCAN.

Structure (POSCAR):
```
U2Al3Si3
1.0
-1.9921 -1.8090 3.1653
0.4830 -3.8131 -1.8752
7.0573 -1.0072 3.8659
Al U Si
3 2 3
Cartesian
1.0002 -3.0615 1.6063
3.7702 -2.4102 0.9954
4.5480 -3.5678 3.5497
5.3543 -0.7642 2.9330
1.7030 -0.2431 0.9329
2.5326 -1.4081 3.5156
0.2415 -1.9065 -0.9376
-0.9961 -0.9045 1.5827
```

Output
VASP energy (eV/cell): -208.8
Total magnetization (μB per formula unit): 4.09
Space-group type: Pmmm, No. 47
E_form (eV per atom): -0.295



No. 3
Here is an optimized crystal structure of Y12Al7Si from the Materials Project database. Energies are from r2SCAN.

Structure (POSCAR):
```
Y12Al7Si
1.0
-5.8680 5.8680 7.6016
5.8680 -5.8680 7.6016
5.8680 5.8680 -7.6016
Y Al Si
24 14 2
Cartesian
3.5153 6.6247 2.0805
-2.0012 3.8663 7.6016
0.7568 2.3526 9.6819
3.5152 5.1112 5.5212
-0.0001 5.8681 2.2417
5.1115 3.5153 -2.0805
9.3832 -0.7567 2.0804
6.6245 3.5152 5.5211
2.3527 -0.7566 5.5214
7.8693 2.0015 0.0000
0.0001 5.8679 5.3599
-0.7567 2.3527 2.0806
3.5153 6.6247 -2.0805
0.7568 2.3526 5.5214
5.8678 0.0001 5.3599
3.8663 2.0013 7.6016
-3.5152 6.6245 5.5209
5.1112 -3.5153 5.5210
2.3527 -0.7566 9.6819
2.0015 3.8668 0.0000
5.1115 3.5153 2.0805
5.8681 -0.0001 2.2417
0.7565 9.3832 2.0805
2.3528 0.7565 2.0807
0.0001 0.0001 7.6016
2.0990 3.7689 3.0873
5.8678 5.8679 7.6016
7.9671 2.0992 3.0872
2.0991 7.9671 4.5144
3.7688 -2.0991 3.0872
1.3923 7.2603 0.0000
1.3924 4.4756 7.6016
7.9670 -2.0991 4.5144
-2.0992 3.7689 4.5144
3.7688 2.0992 4.5145
4.4757 -1.3923 7.6016
-2.0992 7.9672 3.0871
4.4758 1.3923 0.0000
5.8680 5.8680 3.8008
5.8680 5.8680 -3.8008
```

Output
VASP energy (eV/cell): -617.7
Total magnetization (μB per formula unit): 1.07
Space-group type: I4/mcm, No. 140
E_form (eV per atom): -0.460



No. 4
Here is an optimized crystal structure of Y2AlSi2 from the Materials Project database. Energies are from r2SCAN.

Structure (POSCAR):
```
Y2AlSi2
1.0
-0.7126 -3.9389 0.8402
3.3844 -3.3628 -2.9398
4.3911 -2.3747 2.5462
Si Al Y
2 1 2
Cartesian
3.7433 -4.6303 1.3776
3.3196 -5.0461 -0.9310
0.0000 0.0000 0.0000
4.9598 -7.1858 0.3840
2.1032 -2.4906 0.0626
```

Output
VASP energy (eV/cell): -68.8
Total magnetization (μB per formula unit): 0.00
Space-group type: Immm, No. 71
E_form (eV per atom): -0.772



No. 5
Here is an optimized crystal structure of YAlSi from the Materials Project database. Energies are from r2SCAN.

Structure (POSCAR):
```
YAlSi
1.0
3.9802 0.0000 0.0000
-1.9901 5.1693 0.0000
0.0000 0.0000 5.7050
Si Y Al
2 2 2
Cartesian
0.0000 4.1530 1.4263
1.9901 1.0164 4.2788
0.0000 3.1553 4.2788
1.9901 2.0140 1.4263
0.0000 0.0000 2.8525
0.0000 0.0000 0.0000
```

Output
VASP energy (eV/cell): -75.7
Total magnetization (μB per formula unit): 0.00
Space-group type: Cmcm, No. 63
E_form (eV per atom): -0.669



No. 6
Here is an optimized crystal structure of YbAl2Si2 from the Materials Project database. Energies are from r2SCAN.

Structure (POSCAR):
```
YbAl2Si2
1.0
1.7948 1.8509 3.2694
-4.1490 -0.0501 -0.3452
-0.2042 -5.5612 3.2605
Yb Al Si
1 2 2
Cartesian
0.0000 0.0000 0.0000
-0.2588 -0.7521 3.2192
-2.2996 -3.0082 2.9655
-0.3385 -2.9231 4.4920
-2.2199 -0.8372 1.6927
```

Output
VASP energy (eV/cell): -69.4
Total magnetization (μB per formula unit): 0.00
Space-group type: P-3m1, No. 164
E_form (eV per atom): -0.381



No. 7
Here is an optimized crystal structure of SmAl4 from the Materials Project database. Energies are from r2SCAN.

Structure (POSCAR):
```
SmAl4
1.0
-4.5714 -6.1382 1.8849
-7.3081 1.0869 2.7455
5.1261 1.1805 -5.8700
Al Sm
8 2
Cartesian
-3.3337 -3.7961 -0.4267
-1.2194 -1.8169 -0.4669
-3.4197 -0.0747 -0.8130
-5.9398 -2.5256 2.3152
-3.5645 -1.7339 1.2310
-5.5340 -2.0539 -0.7727
-1.0910 1.1337 -1.5623
-3.1889 -2.1369 -2.4706
-0.9374 -4.2938 -2.4613
-5.8160 0.4230 1.2216
```

Output
VASP energy (eV/cell): -117.1
Total magnetization (μB per formula unit): 0.00
Space-group type: Imma, No. 74
E_form (eV per atom): -0.377



No. 8
Here is an optimized crystal structure of Sm3Al from the Materials Project database. Energies are from r2SCAN.

Structure (POSCAR):
```
Sm3Al
1.0
7.0188 0.0000 0.0000
-3.5094 6.0785 0.0000
0.0000 0.0000 5.2986
Al Sm
2 6
Cartesian
0.0000 4.0523 3.9739
3.5094 2.0262 1.3246
1.8755 1.0828 3.9739
-1.6339 4.9957 1.3246
3.5094 3.9129 3.9739
0.0000 2.1656 1.3246
5.1433 1.0828 3.9739
1.6339 4.9957 1.3246
```

Output
VASP energy (eV/cell): -193.8
Total magnetization (μB per formula unit): 0.00
Space-group type: P6_3/mmc, No. 194
E_form (eV per atom): -0.238



No. 9
Here is an optimized crystal structure of Sm3Al11 from the Materials Project database. Energies are from r2SCAN.

Structure (POSCAR):
```
Sm3Al11
1.0
-0.4425 -0.7062 8.3647
-8.2020 -1.5978 0.9154
7.6746 -2.4411 -2.4094
Al Sm
11 3
Cartesian
4.0705 -2.5925 5.5716
1.6784 -2.7583 6.8642
-5.0404 -2.1525 1.2991
-0.7438 -2.8156 1.5748
-1.7912 -3.5666 3.9747
-2.6483 -1.9868 0.0065
-2.7819 -1.8223 5.9085
0.8213 -1.1785 2.8960
-0.2261 -1.9295 5.2959
3.6160 -1.5736 2.9776
1.8120 -2.9227 0.9622
-2.7344 -0.7288 2.9355
0.0000 0.0000 0.0000
-5.9101 -1.5752 6.3447
```

Output
VASP energy (eV/cell): -168.9
Total magnetization (μB per formula unit): 0.00
Space-group type: Immm, No. 71
E_form (eV per atom): -0.405



No. 10
Here is an optimized crystal structure of Sm6Ta4Al43 from the Materials Project database. Energies are from r2SCAN.

Structure (POSCAR):
```
Sm6Ta4Al43
1.0
0.7735 10.8218 -2.2521
-9.7651 -5.1603 -0.8909
-3.5771 3.8158 17.1073
Sm Al Ta
12 86 8
Cartesian
-7.4564 6.1082 13.9889
-5.1124 3.3691 -0.0245
-6.2141 4.5442 5.2440
0.0198 5.4484 0.5848
-1.0818 6.6236 5.8534
-1.7218 8.0139 9.0018
-2.8235 9.1891 14.2705
-4.9293 -2.0570 1.2241
-6.3547 4.9330 8.7203
-7.3113 -0.4626 9.7238
-8.4129 0.7126 14.9924
-6.0310 -0.8819 6.4926
-4.0797 6.9242 4.6116
-5.8683 8.8321 13.1654
-11.3835 -0.9689 14.3801
-2.5126 12.4840 13.2343
-6.1389 7.4453 6.4088
-8.5417 -0.9481 4.7161
-8.9762 -2.0600 7.3795
-7.5926 1.5968 5.0654
-7.6999 7.6743 9.0939
-3.6249 3.2448 10.0338
-6.4685 7.2669 3.3172
-5.8512 6.6084 0.3651
-9.3666 5.1468 9.3092
-1.5390 8.0769 0.9392
-4.6445 11.0838 12.2006
-4.3661 0.7155 8.8369
-10.4125 0.7418 10.0730
-1.5510 11.4583 8.6355
-3.1876 5.9725 0.3453
-4.9762 7.8804 8.8989
-9.3812 3.5047 13.6191
-0.2348 10.1805 2.3567
-8.6111 6.2501 6.7148
-8.3172 8.3329 12.0462
-2.1563 8.7354 3.8914
-4.1223 2.1012 12.6992
-7.9243 -1.6066 1.7639
-10.8696 4.7173 5.4719
-7.1574 -1.2056 -1.2276
-1.1851 10.4463 -0.4156
-1.9625 6.1757 2.8887
-4.3504 5.5375 -2.1447
-8.4011 1.4375 11.9525
-8.4891 2.5531 9.3527
-2.2198 1.7884 3.8135
-6.7177 2.8689 13.5994
-9.2200 -3.4457 3.5173
-7.7980 4.3477 11.4295
-6.4298 2.0319 7.5555
-4.1677 8.0398 2.0118
-4.5866 4.2707 14.6327
-13.0402 1.2806 15.1378
-3.6228 8.7749 6.6384
-4.0271 10.4254 9.2482
-9.2938 3.0364 -2.0643
-8.3378 2.8374 0.6862
-4.6412 0.1241 -0.9981
-4.2516 1.1445 1.9183
-6.3875 2.6779 2.7437
-1.6992 4.7600 8.4924
-2.5849 3.6720 1.7030
-6.7005 0.6452 0.7991
-8.9551 3.4959 3.6384
-3.2022 4.3305 4.6552
-8.9459 0.7023 7.3259
-6.1003 2.2104 10.6471
-2.0336 4.0786 -1.3349
-10.4220 -1.9947 9.7812
-3.9576 3.2271 7.2496
-11.0298 1.4004 13.0253
-10.0562 -3.0069 0.7302
-3.8221 5.9866 7.2186
-4.8688 1.8029 4.8705
-2.1466 11.4721 4.1831
-11.0178 -1.9812 5.3288
-3.6137 5.9813 10.3259
-6.9581 1.5828 -1.8079
-8.9440 6.2325 3.9304
-4.7709 5.1295 2.5349
-10.1870 7.9311 14.2510
-5.1685 13.2182 14.1211
-1.8342 6.8671 -1.9152
-3.7185 8.5387 11.3477
-8.8503 0.9386 2.6166
-6.3669 9.7306 10.5281
-2.5689 4.4571 12.4986
-10.6063 3.3015 11.0757
-6.6268 7.0808 -2.4087
-2.3818 1.5462 -0.2866
-9.9839 5.8053 12.2614
-6.1813 6.7994 11.2207
-4.2311 6.6399 13.2782
-7.9824 5.2067 -0.6682
-6.2018 -0.2534 3.4363
-10.3491 7.6888 10.1509
-8.7467 3.4907 6.7456
-7.4336 5.0713 1.9910
-2.1204 10.7322 11.1928
-5.1352 4.4060 11.9734
-9.7847 -0.8910 12.1827
-0.6833 3.9054 3.6625
-3.5771 3.8158 17.1073
-1.7886 1.9079 8.5537
-3.5575 -0.4534 4.0337
```

Output
VASP energy (eV/cell): -1360.3
Total magnetization (μB per formula unit): 0.00
Space-group type: P6_3/mcm, No. 193
E_form (eV per atom): -0.338



No. 11
Here is an optimized crystal structure of SmAlZn from the Materials Project database. Energies are from r2SCAN.

Structure (POSCAR):
```
SmAlZn
1.0
4.8295 -0.7625 -3.0025
5.5478 -0.3208 1.4282
4.5034 -5.8461 -0.1472
Sm Al Zn
2 2 2
Cartesian
8.3758 -5.1147 -0.8479
6.5049 -1.8147 -0.8736
11.4363 -4.4953 -1.4058
3.4444 -2.4342 -0.3157
9.6421 -2.1625 -1.3475
5.2386 -4.7670 -0.3740
```

Output
VASP energy (eV/cell): -93.7
Total magnetization (μB per formula unit): 0.20
Space-group type: C2/m, No. 12
E_form (eV per atom): -0.498



No. 12
Here is an optimized crystal structure of AlV6Sn from the Materials Project database. Energies are from r2SCAN.

Structure (POSCAR):
```
AlV6Sn
1.0
4.8650 0.0000 0.0000
0.0000 4.8651 0.0000
0.0000 0.0000 4.8650
Al V Sn
1 6 1
Cartesian
2.4325 2.4326 2.4325
2.4325 1.2814 0.0000
3.5836 0.0000 2.4325
1.2814 0.0000 2.4325
0.0000 2.4326 3.5836
2.4325 3.5837 0.0000
0.0000 2.4326 1.2814
0.0000 0.0000 0.0000
```

Output
VASP energy (eV/cell): -117.0
Total magnetization (μB per formula unit): 2.49
Space-group type: Pm-3, No. 200
E_form (eV per atom): -0.128



No. 13
Here is an optimized crystal structure of AlV12Sn3 from the Materials Project database. Energies are from r2SCAN.

Structure (POSCAR):
```
AlV12Sn3
1.0
-1.4219 -4.6748 0.3962
0.7570 -0.6371 -4.8008
9.2705 -2.6659 1.8155
Sn Al V
3 1 12
Cartesian
6.9367 -1.9948 1.3585
-0.3325 -2.6560 -2.2023
2.3338 -0.6711 0.4570
4.3028 -3.9889 -1.2946
7.3919 -4.6676 1.7850
6.1978 -5.7648 -0.7601
0.5716 -0.4811 -3.6250
5.0151 -3.9841 1.3195
0.4567 -2.6732 0.4268
2.4077 -2.2131 -1.8290
4.8376 -1.5033 -0.3757
6.8864 -3.5010 -0.9519
2.8335 -3.3567 0.8922
0.1854 -0.1560 -1.1758
1.7192 -4.4769 -1.6372
5.1899 -1.7997 -2.6096
```

Output
VASP energy (eV/cell): -251.9
Total magnetization (μB per formula unit): 3.70
Space-group type: Pmmm, No. 47
E_form (eV per atom): -0.114



No. 14
Here is an optimized crystal structure of SrAl2 from the Materials Project database. Energies are from r2SCAN.

Structure (POSCAR):
```
SrAl2
1.0
4.4655 0.0000 0.0000
0.0000 4.4655 0.0000
0.0000 0.0000 7.9013
Al Sr
4 2
Cartesian
2.2327 2.2327 0.0000
0.0000 0.0000 0.0000
2.2327 0.0000 6.3045
0.0000 2.2327 1.5968
0.0000 2.2327 5.3293
2.2327 0.0000 2.5720
```

Output
VASP energy (eV/cell): -58.8
Total magnetization (μB per formula unit): 0.00
Space-group type: P4/nmm, No. 129
E_form (eV per atom): -0.271



No. 15
Here is an optimized crystal structure of SrAl2 from the Materials Project database. Energies are from r2SCAN.

Structure (POSCAR):
```
SrAl2
1.0
-2.1436 3.1401 -2.9432
-5.6871 1.3796 1.6867
0.8839 5.8037 1.6210
Al Sr
4 2
Cartesian
-5.4228 7.0779 -0.2808
-4.8264 6.2306 2.3081
-1.5240 3.2454 0.6452
-2.1204 4.0927 -1.9436
-1.9645 6.4712 0.4804
-4.9823 3.8521 -0.1159
```

Output
VASP energy (eV/cell): -58.9
Total magnetization (μB per formula unit): 0.00
Space-group type: Imma, No. 74
E_form (eV per atom): -0.285



No. 16
Here is an optimized crystal structure of Sr5Al9 from the Materials Project database. Energies are from r2SCAN.

Structure (POSCAR):
```
Sr5Al9
1.0
11.9943 -2.9269 -0.0016
11.9943 2.9269 -0.0016
11.2807 0.0000 5.0175
Al Sr
9 5
Cartesian
0.0000 0.0000 0.0000
4.3721 0.0000 0.6216
21.4243 0.0000 1.3723
13.8449 0.0000 3.6420
14.1947 1.4350 1.1813
21.0745 -1.4350 3.8331
30.8971 0.0000 4.3927
21.0745 1.4350 3.8331
14.1947 -1.4350 1.1813
11.1781 0.0000 1.5892
7.6517 0.0000 1.0879
27.6176 0.0000 3.9265
17.6346 0.0000 2.5072
24.0911 0.0000 3.4251
```

Output
VASP energy (eV/cell): -140.3
Total magnetization (μB per formula unit): 0.00
Space-group type: R-3m, No. 166
E_form (eV per atom): -0.284